{
  "formula": "TmFe2SiC",
  "functional": "GGA-PBE",
  "state": "relaxed",
  "total_magnetization_mub_per_fu": 0.00,
  "final_energy_ev_per_atom": -7.757,
  "sg": "Cmcm, No. 63",
  "formation_enthalpy_0k_ev_per_atom": -0.54,
  "lattice_angstrom": [[1.845, -5.213, 0.000], [1.845, 5.213, 0.000], [0.000, 0.000, 6.730]],
  "species": ["Tm", "Tm", "Fe", "Fe", "Fe", "Fe", "Si", "Si", "C", "C"],
  "fractional_positions": [[0.047, 0.953, 0.750], [0.953, 0.047, 0.250], [0.335, 0.665, 0.562], [0.335, 0.665, 0.938], [0.665, 0.335, 0.062], [0.665, 0.335, 0.438], [0.232, 0.768, 0.250], [0.768, 0.232, 0.750], [0.500, 0.500, 0.000], [0.500, 0.500, 0.500]]
}

{
  "formula": "UFe2SiC",
  "functional": "GGA-PBE",
  "state": "relaxed",
  "final_energy_ev_per_atom": -8.946,
  "sg": "Cmcm, No. 63",
  "formation_enthalpy_0k_ev_per_atom": -0.37,
  "lattice_angstrom": [[1.854, -5.352, 0.000], [1.854, 5.352, 0.000], [0.000, 0.000, 6.528]],
  "species": ["U", "U", "Fe", "Fe", "Fe", "Fe", "Si", "Si", "C", "C"],
  "fractional_positions": [[0.063, 0.937, 0.750], [0.937, 0.063, 0.250], [0.337, 0.663, 0.551], [0.337, 0.663, 0.949], [0.663, 0.337, 0.051], [0.663, 0.337, 0.449], [0.219, 0.781, 0.250], [0.781, 0.219, 0.750], [0.500, 0.500, 0.000], [0.500, 0.500, 0.500]]
}

{
  "formula": "U6Fe16Si7C",
  "functional": "GGA-PBE",
  "state": "relaxed",
  "total_magnetization_mub_per_fu": 0.35,
  "final_energy_ev_per_atom": -8.749,
  "sg": "Fm-3m, No. 225",
  "formation_enthalpy_0k_ev_per_atom": -0.40,
  "lattice_angstrom": [[0.000, 5.803, 5.803], [5.803, 0.000, 5.803], [5.803, 5.803, 0.000]],
  "species": ["U", "U", "U", "U", "U", "U", "Fe", "Fe", "Fe", "Fe", "Fe", "Fe", "Fe", "Fe", "Fe", "Fe", "Fe", "Fe", "Fe", "Fe", "Fe", "Fe", "Si", "Si", "Si", "Si", "Si", "Si", "Si", "C"],
  "fractional_positions": [[0.214, 0.214, 0.786], [0.214, 0.786, 0.214], [0.214, 0.786, 0.786], [0.786, 0.214, 0.214], [0.786, 0.214, 0.786], [0.786, 0.786, 0.214], [0.133, 0.622, 0.622], [0.175, 0.175, 0.175], [0.175, 0.175, 0.475], [0.175, 0.475, 0.175], [0.378, 0.378, 0.378], [0.378, 0.378, 0.867], [0.378, 0.867, 0.378], [0.475, 0.175, 0.175], [0.525, 0.825, 0.825], [0.622, 0.133, 0.622], [0.622, 0.622, 0.133], [0.622, 0.622, 0.622], [0.825, 0.525, 0.825], [0.825, 0.825, 0.525], [0.825, 0.825, 0.825], [0.867, 0.378, 0.378], [0.000, 0.000, 0.500], [0.000, 0.500, 0.000], [0.000, 0.500, 0.500], [0.500, 0.000, 0.000], [0.500, 0.000, 0.500], [0.500, 0.500, 0.000], [0.500, 0.500, 0.500], [0.000, 0.000, 0.000]]
}

{
  "formula": "YFe2SiC",
  "functional": "GGA-PBE",
  "state": "relaxed",
  "total_magnetization_mub_per_fu": 0.11,
  "final_energy_ev_per_atom": -8.131,
  "sg": "Cmcm, No. 63",
  "formation_enthalpy_0k_ev_per_atom": -0.52,
  "lattice_angstrom": [[1.876, -5.211, 0.000], [1.876, 5.211, 0.000], [0.000, 0.000, 6.743]],
  "species": ["Y", "Y", "Fe", "Fe", "Fe", "Fe", "Si", "Si", "C", "C"],
  "fractional_positions": [[0.049, 0.951, 0.750], [0.951, 0.049, 0.250], [0.334, 0.666, 0.563], [0.334, 0.666, 0.937], [0.666, 0.334, 0.063], [0.666, 0.334, 0.437], [0.231, 0.769, 0.250], [0.769, 0.231, 0.750], [0.500, 0.500, 0.000], [0.500, 0.500, 0.500]]
}

{
  "formula": "Sm2Fe17C",
  "functional": "GGA-PBE",
  "state": "relaxed",
  "total_magnetization_mub_per_fu": 0.04,
  "final_energy_ev_per_atom": -7.883,
  "sg": "C2/m, No. 12",
  "formation_enthalpy_0k_ev_per_atom": 0.25,
  "lattice_angstrom": [[4.825, -4.305, 0.000], [4.825, 4.305, 0.000], [-0.967, 0.000, 6.392]],
  "species": ["Sm", "Sm", "Fe", "Fe", "Fe", "Fe", "Fe", "Fe", "Fe", "Fe", "Fe", "Fe", "Fe", "Fe", "Fe", "Fe", "Fe", "Fe", "Fe", "C"],
  "fractional_positions": [[0.162, 0.162, 0.351], [0.838, 0.838, 0.649], [0.000, 0.500, 0.000], [0.157, 0.157, 0.851], [0.158, 0.651, 0.343], [0.212, 0.500, 0.711], [0.215, 0.785, 0.000], [0.349, 0.842, 0.657], [0.404, 0.404, 0.097], [0.500, 0.000, 0.000], [0.500, 0.212, 0.711], [0.500, 0.500, 0.500], [0.500, 0.788, 0.289], [0.596, 0.596, 0.903], [0.651, 0.158, 0.343], [0.785, 0.215, 0.000], [0.788, 0.500, 0.289], [0.842, 0.349, 0.657], [0.843, 0.843, 0.149], [0.000, 0.000, 0.000]]
}

{
  "formula": "Sm2Fe17C2",
  "functional": "GGA-PBE",
  "state": "relaxed",
  "total_magnetization_mub_per_fu": 36.07,
  "final_energy_ev_per_atom": -8.218,
  "sg": "C2/m, No. 12",
  "formation_enthalpy_0k_ev_per_atom": -0.03,
  "lattice_angstrom": [[4.837, -4.330, 0.000], [4.837, 4.330, 0.000], [-0.954, 0.000, 6.431]],
  "species": ["Sm", "Sm", "Fe", "Fe", "Fe", "Fe", "Fe", "Fe", "Fe", "Fe", "Fe", "Fe", "Fe", "Fe", "Fe", "Fe", "Fe", "Fe", "Fe", "C", "C"],
  "fractional_positions": [[0.153, 0.153, 0.333], [0.847, 0.847, 0.667], [0.000, 0.500, 0.000], [0.156, 0.646, 0.341], [0.158, 0.158, 0.853], [0.214, 0.499, 0.714], [0.214, 0.786, 0.000], [0.354, 0.844, 0.659], [0.404, 0.404, 0.096], [0.499, 0.214, 0.714], [0.500, 0.000, 0.000], [0.500, 0.500, 0.500], [0.501, 0.786, 0.286], [0.596, 0.596, 0.904], [0.646, 0.156, 0.341], [0.786, 0.214, 0.000], [0.786, 0.501, 0.286], [0.842, 0.842, 0.147], [0.844, 0.354, 0.659], [0.000, 0.500, 0.500], [0.500, 0.000, 0.500]]
}

{
  "formula": "Sm4Fe34C3",
  "functional": "GGA-PBE",
  "state": "relaxed",
  "total_magnetization_mub_per_fu": 74.25,
  "final_energy_ev_per_atom": -8.180,
  "sg": "P-1, No. 2",
  "formation_enthalpy_0k_ev_per_atom": -0.02,
  "lattice_angstrom": [[6.480, 0.000, 0.000], [0.699, 6.458, 0.000], [1.445, 1.249, 12.855]],
  "species": ["Sm", "Sm", "Sm", "Sm", "Fe", "Fe", "Fe", "Fe", "Fe", "Fe", "Fe", "Fe", "Fe", "Fe", "Fe", "Fe", "Fe", "Fe", "Fe", "Fe", "Fe", "Fe", "Fe", "Fe", "Fe", "Fe", "Fe", "Fe", "Fe", "Fe", "Fe", "Fe", "Fe", "Fe", "Fe", "Fe", "Fe", "Fe", "C", "C", "C"],
  "fractional_positions": [[0.150, 0.166, 0.076], [0.162, 0.162, 0.574], [0.838, 0.838, 0.426], [0.850, 0.834, 0.924], [0.001, 0.501, 0.749], [0.156, 0.159, 0.821], [0.158, 0.157, 0.324], [0.158, 0.647, 0.079], [0.158, 0.651, 0.578], [0.212, 0.501, 0.394], [0.215, 0.498, 0.892], [0.216, 0.785, 0.250], [0.216, 0.785, 0.749], [0.350, 0.842, 0.422], [0.355, 0.841, 0.921], [0.404, 0.403, 0.202], [0.405, 0.406, 0.701], [0.498, 0.001, 0.749], [0.499, 0.786, 0.108], [0.499, 0.787, 0.606], [0.500, 0.500, 0.000], [0.500, 0.500, 0.500], [0.501, 0.213, 0.394], [0.501, 0.214, 0.892], [0.502, 0.999, 0.251], [0.595, 0.594, 0.299], [0.596, 0.597, 0.798], [0.645, 0.159, 0.079], [0.650, 0.158, 0.578], [0.784, 0.215, 0.251], [0.784, 0.215, 0.750], [0.785, 0.502, 0.108], [0.788, 0.499, 0.606], [0.842, 0.349, 0.422], [0.842, 0.353, 0.921], [0.842, 0.843, 0.676], [0.844, 0.841, 0.179], [0.999, 0.499, 0.251], [0.000, 0.001, 0.251], [0.000, 0.999, 0.749], [0.500, 0.000, 0.000]]
}

{
  "formula": "SmTiFe11C",
  "functional": "GGA-PBE",
  "state": "relaxed",
  "total_magnetization_mub_per_fu": 22.16,
  "final_energy_ev_per_atom": -8.280,
  "sg": "Imm2, No. 44",
  "formation_enthalpy_0k_ev_per_atom": -0.07,
  "lattice_angstrom": [[-2.447, 4.286, 4.254], [2.447, -4.286, 4.254], [2.447, 4.286, -4.254]],
  "species": ["Sm", "Ti", "Fe", "Fe", "Fe", "Fe", "Fe", "Fe", "Fe", "Fe", "Fe", "Fe", "Fe", "C"],
  "fractional_positions": [[0.000, 0.000, 0.000], [0.626, 0.626, 0.000], [0.211, 0.490, 0.721], [0.218, 0.718, 0.500], [0.350, 0.350, 0.000], [0.352, 0.993, 0.359], [0.492, 0.493, 0.498], [0.492, 0.994, 0.999], [0.633, 0.993, 0.641], [0.769, 0.269, 0.500], [0.770, 0.490, 0.279], [0.995, 0.493, 0.001], [0.995, 0.994, 0.502], [0.994, 0.494, 0.500]]
}